Record 1
Computed, not measured: an optimized crystal structure of VP2O7 at the PBE with a Hubbard U level of DFT. Values from VASP.

## Properties
Energy above the lowest structure with this stoichiometry (meV/atom): 67.6
Theoretical density (g cm⁻³): 2.7
ΔE_f (eV per atom): -2.56

Structure (Quantum ESPRESSO input):
```
&SYSTEM
  ibrav = 0, nat = 40, ntyp = 3
/
ATOMIC_SPECIES
V 50.94 V.upf
P 30.97 P.upf
O 16.00 O.upf
CELL_PARAMETERS angstrom
-1.8870 -4.9143 3.5822
-5.8278 0.2707 -7.4730
8.9188 -5.5460 -1.4069
ATOMIC_POSITIONS crystal
V 0.6273 0.5019 0.2425
V 0.3696 0.4877 0.7511
V 0.7306 0.0945 0.2216
V 0.2715 0.8959 0.7759
P 0.9446 0.8166 0.2199
P 0.3096 0.7977 0.0339
P 0.8913 0.5501 0.6989
P 0.1063 0.4407 0.2961
P 0.0557 0.1722 0.7757
P 0.4079 0.6786 0.5390
P 0.6924 0.1914 0.9623
P 0.5896 0.3144 0.4559
O 0.1906 0.5440 0.4587
O 0.9253 0.2625 0.9138
O 0.0654 0.8827 0.3543
O 0.4267 0.6716 0.6820
O 0.1255 0.0536 0.8173
O 0.7277 0.6719 0.1956
O 0.7309 0.1056 0.0515
O 0.9414 0.5118 0.2658
O 0.6414 0.1485 0.4081
O 0.5975 0.6509 0.4448
O 0.6830 0.5298 0.7803
O 0.4535 0.9195 0.1624
O 0.3139 0.4589 0.2135
O 0.9898 0.7254 0.7186
O 0.2704 0.3178 0.7976
O 0.8055 0.4510 0.5359
O 0.9329 0.1030 0.6415
O 0.2714 0.8849 0.9458
O 0.3567 0.8447 0.5885
O 0.0763 0.7274 0.0823
O 0.0095 0.2668 0.2806
O 0.3936 0.6528 0.9422
O 0.6052 0.3356 0.0520
O 0.8810 0.9393 0.1804
O 0.0551 0.4757 0.7257
O 0.3987 0.3410 0.5491
O 0.5704 0.3199 0.3125
O 0.5511 0.0676 0.8332
```



Record 2
Computed, not measured: an optimized crystal structure of V2P3O11 at the PBE with a Hubbard U level of DFT. Values from VASP.

## Properties
Energy above the lowest structure with this stoichiometry (meV/atom): 0.0
Theoretical density (g cm⁻³): 3.0
ΔE_f (eV per atom): -2.64

Structure (Quantum ESPRESSO input):
```
&SYSTEM
  ibrav = 0, nat = 32, ntyp = 3
/
ATOMIC_SPECIES
V 50.94 V.upf
P 30.97 P.upf
O 16.00 O.upf
CELL_PARAMETERS angstrom
6.8675 -0.0314 -2.4283
-1.5193 6.7070 2.4323
0.0418 -0.0282 8.9603
ATOMIC_POSITIONS crystal
V 0.1106 0.3668 0.9590
V 0.3659 0.1110 0.5411
V 0.6406 0.8868 0.4608
V 0.8876 0.6410 0.0393
P 0.0398 0.0402 0.7498
P 0.4578 0.6720 0.7885
P 0.3273 0.5443 0.2910
P 0.6717 0.4573 0.7112
P 0.5441 0.3273 0.2093
P 0.9609 0.9605 0.2501
O 0.0078 0.8554 0.8984
O 0.0423 0.2296 0.7863
O 0.1367 0.9786 0.3983
O 0.2578 0.6175 0.8271
O 0.2293 0.0421 0.7132
O 0.1533 0.5428 0.1316
O 0.4711 0.8429 0.6301
O 0.2756 0.3725 0.4314
O 0.6343 0.7200 0.9322
O 0.4813 0.4812 0.7501
O 0.3970 0.7483 0.3303
O 0.6172 0.2577 0.6730
O 0.5158 0.5160 0.2499
O 0.3719 0.2761 0.0687
O 0.7203 0.6340 0.5677
O 0.5419 0.1535 0.3688
O 0.9795 0.1366 0.1020
O 0.7647 0.9472 0.2919
O 0.7484 0.3971 0.1698
O 0.8557 0.0073 0.6013
O 0.9473 0.7644 0.2083
O 0.8432 0.4706 0.8695
```



Record 3
Computed, not measured: an optimized crystal structure of VP2O7 at the PBE with a Hubbard U level of DFT. Values from VASP.

## Properties
Energy above the lowest structure with this stoichiometry (meV/atom): 105.9
Theoretical density (g cm⁻³): 3.0
ΔE_f (eV per atom): -2.52

Structure (Quantum ESPRESSO input):
```
&SYSTEM
  ibrav = 0, nat = 20, ntyp = 3
/
ATOMIC_SPECIES
V 50.94 V.upf
P 30.97 P.upf
O 16.00 O.upf
CELL_PARAMETERS angstrom
1.9242 -1.6250 -7.8505
-1.0790 -2.0883 7.9024
-8.0988 0.0883 -1.5414
ATOMIC_POSITIONS crystal
V 0.0000 0.0000 0.0000
V 0.2500 0.7500 0.5000
P 0.9687 0.3750 0.0937
P 0.1250 0.0313 0.4063
P 0.6250 0.7187 0.5937
P 0.2813 0.8750 0.9063
O 0.2129 0.6464 0.2580
O 0.3536 0.6116 0.5665
O 0.3884 0.9549 0.7420
O 0.0371 0.7951 0.9335
O 0.2049 0.1384 0.2420
O 0.8095 0.8750 0.4345
O 0.8964 0.9629 0.7580
O 0.7500 0.2500 0.5000
O 0.0451 0.7871 0.4335
O 0.4405 0.3750 0.5655
O 0.8616 0.1036 0.0665
O 0.6250 0.1905 0.0655
O 0.5000 0.5000 0.0000
O 0.1250 0.5595 0.9345
```